1.
# CsK2NbF6

An optimized crystal structure of CsK2NbF6 (PBE, the Materials Project).

Values from the calculation:
The calculation puts the energy of formation at -2.875 eV/atom.

Lattice parameters (Å, degrees): 6.9007 6.9007 6.9007 60.00 60.00 60.00
Last column: nearest neighbours and their distance in Å.
Sites, in units of the cell vectors:
Cs: 0.0000 0.0000 0.0000  6 F 2.77
K: 0.2500 0.2500 0.2500  12 F 3.47
K: 0.7500 0.7500 0.7500  12 F 3.47
Nb: 0.5000 0.5000 0.5000  6 F 2.10
F: 0.2843 0.2843 0.7157  1 Nb 2.10
F: 0.2843 0.7157 0.2843  1 Nb 2.10
F: 0.2843 0.7157 0.7157  1 Nb 2.10
F: 0.7157 0.2843 0.2843  1 Nb 2.10
F: 0.7157 0.2843 0.7157  1 Nb 2.10
F: 0.7157 0.7157 0.2843  1 Nb 2.10

2.
# Cs4K3U3Si4O20F

An optimized crystal structure of Cs4K3U3Si4O20F (PBE, the Materials Project).

Values from the calculation:
The calculation puts the energy of formation at -3.170 eV/atom.

Lattice parameters (Å, degrees): 11.9101 11.9101 14.4878 90.00 90.00 141.30
Last column: nearest neighbours and their distance in Å.
Sites, in units of the cell vectors:
Cs: 0.0321 0.4585 0.0000  1 F 2.94, 4 O 3.07-3.19
Cs: 0.2092 0.2853 0.1142  1 F 2.92, 5 O 3.14-3.25
Cs: 0.2853 0.2092 0.6142  1 F 2.92, 5 O 3.14-3.25
Cs: 0.4585 0.0321 0.5000  1 F 2.94, 4 O 3.07-3.19
Cs: 0.5415 0.9679 0.0000  1 F 2.94, 4 O 3.07-3.19
Cs: 0.7147 0.7908 0.1142  1 F 2.92, 5 O 3.14-3.25
Cs: 0.7908 0.7147 0.6142  1 F 2.92, 5 O 3.14-3.25
Cs: 0.9679 0.5415 0.5000  1 F 2.94, 4 O 3.07-3.19
K: 0.1195 0.8805 0.0517  6 O 2.63-2.88
K: 0.3325 0.6675 0.2628  7 O 2.77-3.00
K: 0.4137 0.5863 0.8452  6 O 2.76-3.06
K: 0.5863 0.4137 0.3452  6 O 2.76-3.06
K: 0.6675 0.3325 0.7628  7 O 2.77-3.00
K: 0.8805 0.1195 0.5517  6 O 2.63-2.88
U: 0.0738 0.9262 0.3359  2 O 1.87-1.88
U: 0.1744 0.8256 0.7880  2 O 1.87
U: 0.3740 0.6260 0.5636  2 O 1.87
U: 0.6260 0.3740 0.0636  2 O 1.87
U: 0.8256 0.1744 0.2880  2 O 1.87
U: 0.9262 0.0738 0.8359  2 O 1.87-1.88
Si: 0.0016 0.3984 0.7290  4 O 1.64-1.69
Si: 0.2446 0.3541 0.3756  4 O 1.64-1.69
Si: 0.3541 0.2446 0.8756  4 O 1.64-1.69
Si: 0.3984 0.0016 0.2290  4 O 1.64-1.69
Si: 0.6016 0.9984 0.7290  4 O 1.64-1.69
Si: 0.6459 0.7554 0.3756  4 O 1.64-1.69
Si: 0.7554 0.6459 0.8756  4 O 1.64-1.69
Si: 0.9984 0.6016 0.2290  4 O 1.64-1.69
O: 0.0307 0.5495 0.7662  1 Si 1.64
O: 0.0462 0.3405 0.8097  1 Si 1.64
O: 0.0538 0.9462 0.2101  1 U 1.88
O: 0.0944 0.9056 0.4608  1 U 1.87
O: 0.0980 0.3071 0.3120  1 Si 1.64
O: 0.1163 0.4665 0.6342  1 Si 1.64
O: 0.1553 0.8447 0.6625  1 U 1.87
O: 0.1949 0.8051 0.9131  1 U 1.87
O: 0.2030 0.2256 0.8635  1 Si 1.64
O: 0.2163 0.7837 0.1987  2 Si 1.69
O: 0.2256 0.2030 0.3635  1 Si 1.64
O: 0.2325 0.3771 0.4855  1 Si 1.64
O: 0.3071 0.0980 0.8120  1 Si 1.64
O: 0.3175 0.6825 0.4684  1 U 1.87
O: 0.3405 0.0462 0.3097  1 Si 1.64
O: 0.3771 0.2325 0.9855  1 Si 1.64
O: 0.4318 0.5682 0.6568  1 U 1.87
O: 0.4501 0.5499 0.3360  2 Si 1.69
O: 0.4505 0.9693 0.7662  1 Si 1.64
O: 0.4665 0.1163 0.1342  1 Si 1.64
O: 0.5335 0.8837 0.6342  1 Si 1.64
O: 0.5495 0.0307 0.2662  1 Si 1.64
O: 0.5499 0.4501 0.8360  2 Si 1.69
O: 0.5682 0.4318 0.1568  1 U 1.87
O: 0.6229 0.7675 0.4855  1 Si 1.64
O: 0.6595 0.9538 0.8097  1 Si 1.64
O: 0.6825 0.3175 0.9684  1 U 1.87
O: 0.6929 0.9020 0.3120  1 Si 1.64
O: 0.7675 0.6229 0.9855  1 Si 1.64
O: 0.7744 0.7970 0.8635  1 Si 1.64
O: 0.7837 0.2163 0.6987  2 Si 1.69
O: 0.7970 0.7744 0.3635  1 Si 1.64
O: 0.8051 0.1949 0.4131  1 U 1.87
O: 0.8447 0.1553 0.1625  1 U 1.87
O: 0.8837 0.5335 0.1342  1 Si 1.64
O: 0.9020 0.6929 0.8120  1 Si 1.64
O: 0.9056 0.0944 0.9608  1 U 1.87
O: 0.9462 0.0538 0.7101  1 U 1.88
O: 0.9538 0.6595 0.3097  1 Si 1.64
O: 0.9693 0.4505 0.2662  1 Si 1.64
F: 0.3753 0.6247 0.0543  4 Cs 2.92-2.94, 2 K 3.15-3.17
F: 0.6247 0.3753 0.5543  4 Cs 2.92-2.94, 2 K 3.15-3.17

3.
# CsK2PdF6

An optimized crystal structure of CsK2PdF6 (PBE, the Materials Project).

Values from the calculation:
The calculation puts the energy of formation at -2.375 eV/atom.

Lattice parameters (Å, degrees): 6.7665 6.7665 6.7665 60.00 60.00 60.00
Last column: nearest neighbours and their distance in Å.
Sites, in units of the cell vectors:
Cs: 0.0000 0.0000 0.0000  6 F 2.73
K: 0.2500 0.2500 0.2500  12 F 3.40
K: 0.7500 0.7500 0.7500  12 F 3.40
Pd: 0.5000 0.5000 0.5000  6 F 2.06
F: 0.2849 0.2849 0.7151  1 Pd 2.06
F: 0.2849 0.7151 0.2849  1 Pd 2.06
F: 0.2849 0.7151 0.7151  1 Pd 2.06
F: 0.7151 0.2849 0.2849  1 Pd 2.06
F: 0.7151 0.2849 0.7151  1 Pd 2.06
F: 0.7151 0.7151 0.2849  1 Pd 2.06

4.
# Cs2KPdF6

An optimized crystal structure of Cs2KPdF6 (PBE, the Materials Project).

Values from the calculation:
The calculation puts the energy of formation at -2.512 eV/atom.

Lattice parameters (Å, degrees): 6.6501 6.6501 6.6501 121.52 121.52 87.38
Last column: nearest neighbours and their distance in Å.
Sites, in units of the cell vectors:
Cs: 0.2500 0.7500 0.5000  12 F 3.25-3.34
Cs: 0.7500 0.2500 0.5000  12 F 3.25-3.34
K: 0.0000 0.0000 0.0000  6 F 2.58-2.59
Pd: 0.5000 0.5000 0.0000  6 F 2.00-2.23
F: 0.2684 0.2684 0.0000  1 Pd 2.23
F: 0.2823 0.2823 0.5646  1 Pd 2.00
F: 0.2823 0.7177 0.0000  1 Pd 2.00
F: 0.7177 0.2823 0.0000  1 Pd 2.00
F: 0.7177 0.7177 0.4354  1 Pd 2.00
F: 0.7316 0.7316 0.0000  1 Pd 2.23

5.
# Cs2KPdF6

An optimized crystal structure of Cs2KPdF6 (PBE, the Materials Project).

Values from the calculation:
The calculation puts the energy of formation at -2.498 eV/atom.

Lattice parameters (Å, degrees): 6.5957 6.5957 6.5957 60.00 60.00 60.00
Last column: nearest neighbours and their distance in Å.
Sites, in units of the cell vectors:
Cs: 0.2500 0.2500 0.2500  12 F 3.31
Cs: 0.7500 0.7500 0.7500  12 F 3.31
K: 0.0000 0.0000 0.0000  6 F 2.59
Pd: 0.5000 0.5000 0.5000  6 F 2.07
F: 0.2780 0.2780 0.7220  1 Pd 2.07
F: 0.2780 0.7220 0.2780  1 Pd 2.07
F: 0.2780 0.7220 0.7220  1 Pd 2.07
F: 0.7220 0.2780 0.2780  1 Pd 2.07
F: 0.7220 0.2780 0.7220  1 Pd 2.07
F: 0.7220 0.7220 0.2780  1 Pd 2.07

6.
# CsK2PdF5

An optimized crystal structure of CsK2PdF5 (PBE, the Materials Project).

Values from the calculation:
The calculation puts the energy of formation at -2.530 eV/atom.

Lattice parameters (Å, degrees): 7.4949 7.4949 6.3625 90.00 90.00 90.00
Last column: nearest neighbours and their distance in Å.
Sites, in units of the cell vectors:
Cs: 0.0000 0.0000 0.0000  10 F 3.18-3.27
Cs: 0.5000 0.5000 0.0000  10 F 3.18-3.27
K: 0.1782 0.3218 0.5000  8 F 2.68-2.92
K: 0.3218 0.8218 0.5000  8 F 2.68-2.92
K: 0.6782 0.1782 0.5000  8 F 2.68-2.92
K: 0.8218 0.6782 0.5000  8 F 2.68-2.92
Pd: 0.0000 0.5000 0.0000  4 F 1.99
Pd: 0.5000 0.0000 0.0000  4 F 1.99
F: 0.0000 0.0000 0.5000  4 K 2.76
F: 0.1307 0.6307 0.2251  1 Pd 1.99
F: 0.1307 0.6307 0.7749  1 Pd 1.99
F: 0.3693 0.1307 0.2251  1 Pd 1.99
F: 0.3693 0.1307 0.7749  1 Pd 1.99
F: 0.5000 0.5000 0.5000  4 K 2.76
F: 0.6307 0.8693 0.2251  1 Pd 1.99
F: 0.6307 0.8693 0.7749  1 Pd 1.99
F: 0.8693 0.3693 0.2251  1 Pd 1.99
F: 0.8693 0.3693 0.7749  1 Pd 1.99

7.
# Cs2KPrF6

An optimized crystal structure of Cs2KPrF6 (PBE, the Materials Project).

Values from the calculation:
The calculation puts the energy of formation at -3.519 eV/atom.

Lattice parameters (Å, degrees): 6.9447 6.9447 6.9447 60.00 60.00 60.00
Last column: nearest neighbours and their distance in Å.
Sites, in units of the cell vectors:
Cs: 0.2500 0.2500 0.2500  12 F 3.48
Cs: 0.7500 0.7500 0.7500  12 F 3.48
K: 0.0000 0.0000 0.0000  6 F 2.60
Pr: 0.5000 0.5000 0.5000  6 F 2.31
F: 0.2652 0.2652 0.7348  1 Pr 2.31
F: 0.2652 0.7348 0.2652  1 Pr 2.31
F: 0.2652 0.7348 0.7348  1 Pr 2.31
F: 0.7348 0.2652 0.2652  1 Pr 2.31
F: 0.7348 0.2652 0.7348  1 Pr 2.31
F: 0.7348 0.7348 0.2652  1 Pr 2.31

8.
# Cs2KRuF6

An optimized crystal structure of Cs2KRuF6 (PBE, the Materials Project).

Values from the calculation:
The calculation puts the energy of formation at -2.631 eV/atom.

Lattice parameters (Å, degrees): 6.5468 6.5468 6.5468 60.00 60.00 60.00
Last column: nearest neighbours and their distance in Å.
Sites, in units of the cell vectors:
Cs: 0.2500 0.2500 0.2500  12 F 3.29
Cs: 0.7500 0.7500 0.7500  12 F 3.29
K: 0.0000 0.0000 0.0000  6 F 2.59
Ru: 0.5000 0.5000 0.5000  6 F 2.04
F: 0.2801 0.2801 0.7199  1 Ru 2.04
F: 0.2801 0.7199 0.2801  1 Ru 2.04
F: 0.2801 0.7199 0.7199  1 Ru 2.04
F: 0.7199 0.2801 0.2801  1 Ru 2.04
F: 0.7199 0.2801 0.7199  1 Ru 2.04
F: 0.7199 0.7199 0.2801  1 Ru 2.04